Record 1
# Ti4Si7Ni4

A relaxed Ti4Si7Ni4 crystal (r2SCAN, Materials Project).

Cell lengths 9.1744, 9.1744, 9.1744 Å; angles 94.11, 94.11, 148.93 degrees
Positions (direct):
Ti 0.0000 0.1901 0.1901
Ti 0.0000 0.8099 0.8099
Ti 0.1901 0.0000 0.1901
Ti 0.3652 0.3652 0.7305
Ti 0.3652 0.6348 0.0000
Ti 0.6348 0.3652 0.0000
Ti 0.6348 0.6348 0.2695
Ti 0.8099 0.0000 0.8099
Si 0.0000 0.4065 0.4065
Si 0.0000 0.5935 0.5935
Si 0.2053 0.2053 0.4106
Si 0.2053 0.7947 0.0000
Si 0.2100 0.5000 0.7100
Si 0.2511 0.2511 0.0000
Si 0.4065 0.0000 0.4065
Si 0.5000 0.2100 0.7100
Si 0.5000 0.7900 0.2900
Si 0.5935 0.0000 0.5935
Si 0.7489 0.7489 0.0000
Si 0.7900 0.5000 0.2900
Si 0.7947 0.2053 0.0000
Si 0.7947 0.7947 0.5894
Ni 0.1015 0.6015 0.2029
Ni 0.1015 0.8985 0.5000
Ni 0.3985 0.6015 0.5000
Ni 0.3985 0.8985 0.7971
Ni 0.6015 0.1015 0.2029
Ni 0.6015 0.3985 0.5000
Ni 0.8985 0.1015 0.5000
Ni 0.8985 0.3985 0.7971

Values from the calculation:
Energy of formation from the pure elements, kJ/mol of formula units: -1028
SG: I4/mmm, No. 139
ρ, g cm⁻³: 5.387

=====

Record 2
# DyUTe6

A relaxed DyUTe6 crystal (r2SCAN, Materials Project).

Cell lengths 4.3681, 13.2154, 13.2154 Å; angles 19.02, 90.00, 90.00 degrees
Positions (direct):
Dy 0.0000 0.0000 0.0000
U 0.5000 0.6614 0.6614
Te 0.0000 0.1235 0.1235
Te 0.0000 0.4053 0.4053
Te 0.0000 0.7556 0.7556
Te 0.5000 0.2557 0.2557
Te 0.5000 0.5361 0.5361
Te 0.5000 0.9051 0.9051

Values from the calculation:
Energy of formation from the pure elements, kJ/mol of formula units: -729
SG: Amm2, No. 38
ρ, g cm⁻³: 7.788

=====

Record 3
# Ba3GeI2

A relaxed Ba3GeI2 crystal (r2SCAN, Materials Project).

Cell lengths 16.5540, 15.7897, 8.7402 Å; angles 79.21, 69.55, 31.24 degrees
Positions (direct):
Ba 0.0313 0.5368 0.1811
Ba 0.0836 0.6664 0.6664
Ba 0.1811 0.7508 0.0313
Ba 0.2492 0.8189 0.4632
Ba 0.3336 0.9164 0.9164
Ba 0.4632 0.9687 0.2492
Ba 0.5368 0.0313 0.7508
Ba 0.6664 0.0836 0.0836
Ba 0.7508 0.1811 0.5368
Ba 0.8189 0.2492 0.9687
Ba 0.9164 0.3336 0.3336
Ba 0.9687 0.4632 0.8189
Ge 0.0408 0.0408 0.2092
Ge 0.2092 0.2092 0.0408
Ge 0.7908 0.7908 0.9592
Ge 0.9592 0.9592 0.7908
I 0.1289 0.1289 0.6211
I 0.2977 0.2977 0.4523
I 0.3789 0.3789 0.8711
I 0.4523 0.4523 0.2977
I 0.5477 0.5477 0.7023
I 0.6211 0.6211 0.1289
I 0.7023 0.7023 0.5477
I 0.8711 0.8711 0.3789

Values from the calculation:
Energy of formation from the pure elements, kJ/mol of formula units: -803
SG: Fddd, No. 70
ρ, g cm⁻³: 4.539

=====

Record 4
# Nd2Ir7

A relaxed Nd2Ir7 crystal (r2SCAN, Materials Project).

Cell lengths 13.4963, 13.4963, 13.4963 Å; angles 22.82, 22.82, 22.82 degrees
Positions (direct):
Nd 0.0501 0.0501 0.0501
Nd 0.1474 0.1474 0.1474
Nd 0.8526 0.8526 0.8526
Nd 0.9499 0.9499 0.9499
Ir 0.0000 0.5000 0.5000
Ir 0.1107 0.6083 0.6083
Ir 0.2778 0.2778 0.2778
Ir 0.3885 0.3885 0.3885
Ir 0.3917 0.3917 0.8893
Ir 0.3917 0.8893 0.3917
Ir 0.5000 0.0000 0.5000
Ir 0.5000 0.5000 0.0000
Ir 0.5000 0.5000 0.5000
Ir 0.6083 0.1107 0.6083
Ir 0.6083 0.6083 0.1107
Ir 0.6115 0.6115 0.6115
Ir 0.7222 0.7222 0.7222
Ir 0.8893 0.3917 0.3917

Values from the calculation:
Energy of formation from the pure elements, kJ/mol of formula units: -450
SG: R-3m, No. 166
ρ, g cm⁻³: 16.723

=====

Calculated values (Ry/atom) of electronic total energy for the records, taken in order: -0.8415 -2.4988 -1.8474 -3.5117.